No. 1
This record from Materials Project describes a geometry-optimized HfTc2W structure. The functional is r2SCAN.

The structure in POSCAR format:
```
HfTc2W
1.0
-4.3464 -0.8440 0.7286
-3.0763 3.1417 -0.8947
-2.7965 -0.5222 -3.4700
Hf Tc W
1 2 1
direct
0.5000 0.5000 0.5000
0.2500 0.2500 0.2500
0.7500 0.7500 0.7500
0.0000 0.0000 0.0000
```

ΔH_f (0 K) ... -0.394 eV/atom


No. 2
This record from Materials Project describes a geometry-optimized Hf3Te2 structure. The functional is r2SCAN.

The structure in POSCAR format:
```
Hf3Te2
1.0
-2.5918 0.9688 2.4317
-2.5593 -0.2036 -2.6415
1.1410 -9.3950 2.1785
Hf Te
3 2
direct
0.4076 0.4076 0.8152
0.5924 0.5924 0.1848
0.0000 0.0000 0.0000
0.8378 0.8378 0.6750
0.1622 0.1622 0.3250
```

ΔH_f (0 K) ... -0.695 eV/atom